1.
Below is a relaxed Rb2CuF4 crystal, with properties calculated at the PBE-GGA level.

Unit cell a=7.437 b=7.437 c=7.437 alpha=146.83 beta=146.83 gamma=47.62
Element x y z (fractional)
Rb 0.144 0.144 0.000
Rb 0.856 0.856 0.000
Cu 0.500 0.500 0.000
F 0.000 0.500 0.500
F 0.355 0.355 0.000
F 0.500 0.000 0.500
F 0.645 0.645 0.000

2.
Below is a relaxed Tm12Al7Si crystal, with properties calculated at the PBE-GGA level.

Unit cell a=11.067 b=11.067 c=11.067 alpha=117.50 beta=117.50 gamma=94.39
Element x y z (fractional)
Tm 0.065 0.927 0.265
Tm 0.073 0.338 0.137
Tm 0.147 0.647 0.500
Tm 0.162 0.427 0.863
Tm 0.171 0.329 0.500
Tm 0.201 0.935 0.863
Tm 0.299 0.162 0.735
Tm 0.329 0.829 0.159
Tm 0.338 0.201 0.265
Tm 0.353 0.853 0.500
Tm 0.427 0.565 0.265
Tm 0.435 0.701 0.863
Tm 0.565 0.299 0.137
Tm 0.573 0.435 0.735
Tm 0.647 0.147 0.500
Tm 0.662 0.799 0.735
Tm 0.671 0.171 0.841
Tm 0.701 0.838 0.265
Tm 0.799 0.065 0.137
Tm 0.829 0.671 0.500
Tm 0.838 0.573 0.137
Tm 0.853 0.353 0.500
Tm 0.927 0.662 0.863
Tm 0.935 0.073 0.735
Al 0.000 0.000 0.000
Al 0.025 0.881 0.500
Al 0.119 0.619 0.145
Al 0.119 0.619 0.737
Al 0.381 0.119 0.500
Al 0.381 0.525 0.500
Al 0.475 0.975 0.855
Al 0.500 0.500 0.000
Al 0.525 0.025 0.145
Al 0.619 0.475 0.500
Al 0.619 0.881 0.500
Al 0.881 0.381 0.263
Al 0.881 0.381 0.855
Al 0.975 0.119 0.500
Si 0.250 0.250 0.000
Si 0.750 0.750 0.000

3.
Below is a relaxed Rb2PbO3 crystal, with properties calculated at the PBE-GGA level.

Unit cell a=6.154 b=11.085 c=7.536 alpha=90.00 beta=90.00 gamma=90.00
Element x y z (fractional)
Rb 0.236 0.087 0.108
Rb 0.236 0.413 0.108
Rb 0.264 0.587 0.608
Rb 0.264 0.913 0.608
Rb 0.736 0.087 0.392
Rb 0.736 0.413 0.392
Rb 0.764 0.587 0.892
Rb 0.764 0.913 0.892
Pb 0.238 0.750 0.158
Pb 0.262 0.250 0.658
Pb 0.738 0.750 0.342
Pb 0.762 0.250 0.842
O 0.004 0.120 0.732
O 0.004 0.380 0.732
O 0.176 0.750 0.889
O 0.324 0.250 0.389
O 0.496 0.620 0.232
O 0.496 0.880 0.232
O 0.504 0.120 0.768
O 0.504 0.380 0.768
O 0.676 0.750 0.611
O 0.824 0.250 0.111
O 0.996 0.620 0.268
O 0.996 0.880 0.268

Summary:
energy above the lowest structure with this stoichiometry	0	meV/atom

4.
Below is a relaxed AlPO4 crystal, with properties calculated at the PBE-GGA level.

Unit cell a=12.256 b=12.256 c=12.256 alpha=118.15 beta=118.15 gamma=118.15
Element x y z (fractional)
Al 0.056 0.502 0.354
Al 0.354 0.056 0.502
Al 0.498 0.646 0.944
Al 0.502 0.354 0.056
Al 0.646 0.944 0.498
Al 0.944 0.498 0.646
P 0.036 0.740 0.596
P 0.260 0.404 0.964
P 0.404 0.964 0.260
P 0.596 0.036 0.740
P 0.740 0.596 0.036
P 0.964 0.260 0.404
O 0.003 0.595 0.439
O 0.028 0.695 0.692
O 0.050 0.849 0.313
O 0.151 0.687 0.950
O 0.200 0.380 0.597
O 0.305 0.308 0.972
O 0.308 0.972 0.305
O 0.313 0.050 0.849
O 0.380 0.597 0.200
O 0.403 0.800 0.620
O 0.405 0.561 0.997
O 0.439 0.003 0.595
O 0.561 0.997 0.405
O 0.595 0.439 0.003
O 0.597 0.200 0.380
O 0.620 0.403 0.800
O 0.687 0.950 0.151
O 0.692 0.028 0.695
O 0.695 0.692 0.028
O 0.800 0.620 0.403
O 0.849 0.313 0.050
O 0.950 0.151 0.687
O 0.972 0.305 0.308
O 0.997 0.405 0.561

5.
Below is a relaxed CoRh2S4 crystal, with properties calculated at the PBE-GGA level.

Unit cell a=6.848 b=6.848 c=6.848 alpha=60.00 beta=60.00 gamma=60.00
Element x y z (fractional)
Co 0.125 0.125 0.125
Co 0.875 0.875 0.875
Rh 0.000 0.500 0.500
Rh 0.500 0.000 0.500
Rh 0.500 0.500 0.000
Rh 0.500 0.500 0.500
S 0.253 0.253 0.253
S 0.253 0.253 0.742
S 0.253 0.742 0.253
S 0.258 0.747 0.747
S 0.742 0.253 0.253
S 0.747 0.258 0.747
S 0.747 0.747 0.258
S 0.747 0.747 0.747

Summary:
magnetic moment	0.000	μB/cell

6.
Below is a relaxed DyMn2Cr4Ge6 crystal, with properties calculated at the PBE-GGA level.

Unit cell a=5.141 b=5.141 c=8.282 alpha=90.00 beta=90.00 gamma=120.03
Element x y z (fractional)
Dy 0.000 0.000 0.000
Mn 0.000 0.500 0.251
Mn 0.500 0.000 0.251
Cr 0.000 0.500 0.750
Cr 0.500 0.000 0.750
Cr 0.500 0.500 0.250
Cr 0.500 0.500 0.750
Ge 0.000 0.000 0.346
Ge 0.000 0.000 0.654
Ge 0.334 0.666 0.002
Ge 0.334 0.666 0.499
Ge 0.666 0.334 0.002
Ge 0.666 0.334 0.499

Summary:
magnetic moment	5.658	μB/cell

7.
Below is a relaxed Ba crystal, with properties calculated at the PBE-GGA level.

Unit cell a=4.285 b=4.285 c=3.975 alpha=90.00 beta=90.00 gamma=120.00
Element x y z (fractional)
Ba 0.000 0.000 0.000

Summary:
energy above the lowest structure with this stoichiometry	175	meV/atom

8.
Below is a relaxed Zr21S8 crystal, with properties calculated at the PBE-GGA level.

Unit cell a=13.474 b=13.474 c=13.474 alpha=90.81 beta=90.81 gamma=166.32
Element x y z (fractional)
Zr 0.000 0.000 0.000
Zr 0.027 0.731 0.758
Zr 0.085 0.450 0.535
Zr 0.192 0.612 0.804
Zr 0.194 0.194 0.387
Zr 0.194 0.806 0.000
Zr 0.269 0.027 0.296
Zr 0.368 0.546 0.914
Zr 0.388 0.192 0.579
Zr 0.450 0.915 0.364
Zr 0.454 0.368 0.821
Zr 0.546 0.632 0.179
Zr 0.550 0.085 0.636
Zr 0.612 0.808 0.421
Zr 0.632 0.454 0.086
Zr 0.731 0.973 0.704
Zr 0.806 0.194 0.000
Zr 0.806 0.806 0.613
Zr 0.808 0.388 0.196
Zr 0.915 0.550 0.465
Zr 0.973 0.269 0.242
S 0.066 0.865 0.930
S 0.135 0.066 0.201
S 0.207 0.362 0.569
S 0.362 0.793 0.156
S 0.638 0.207 0.844
S 0.793 0.638 0.431
S 0.865 0.934 0.799
S 0.934 0.135 0.070

Summary:
magnetic moment	0.000	μB/cell

9.
Below is a relaxed ScFe2 crystal, with properties calculated at the PBE-GGA level.

Unit cell a=4.938 b=4.938 c=8.089 alpha=90.00 beta=90.00 gamma=120.00
Element x y z (fractional)
Sc 0.333 0.667 0.063
Sc 0.333 0.667 0.437
Sc 0.667 0.333 0.563
Sc 0.667 0.333 0.937
Fe 0.000 0.000 0.000
Fe 0.000 0.000 0.500
Fe 0.168 0.336 0.750
Fe 0.168 0.832 0.750
Fe 0.336 0.168 0.250
Fe 0.664 0.832 0.750
Fe 0.832 0.168 0.250
Fe 0.832 0.664 0.250

10.
Below is a relaxed LiMg14Al crystal, with properties calculated at the PBE-GGA level.

Unit cell a=10.335 b=6.294 c=6.294 alpha=60.26 beta=90.00 gamma=90.00
Element x y z (fractional)
Li 0.000 0.000 0.000
Mg 0.000 0.001 0.496
Mg 0.000 0.496 0.001
Mg 0.245 0.170 0.666
Mg 0.245 0.666 0.170
Mg 0.247 0.664 0.664
Mg 0.250 0.166 0.166
Mg 0.500 0.499 0.499
Mg 0.500 0.500 0.999
Mg 0.500 0.999 0.500
Mg 0.500 0.999 0.999
Mg 0.750 0.166 0.166
Mg 0.753 0.664 0.664
Mg 0.755 0.170 0.666
Mg 0.755 0.666 0.170
Al 0.000 0.498 0.498

Summary:
magnetic moment	0.000	μB/cell
energy above the lowest structure with this stoichiometry	0	meV/atom

11.
Below is a relaxed Mg2Ta2SnO8 crystal, with properties calculated at the PBE-GGA level.

Unit cell a=10.865 b=10.865 c=5.332 alpha=91.92 beta=91.92 gamma=32.39
Element x y z (fractional)
Mg 0.088 0.369 0.241
Mg 0.369 0.088 0.741
Mg 0.631 0.912 0.259
Mg 0.912 0.631 0.759
Ta 0.207 0.538 0.272
Ta 0.462 0.793 0.228
Ta 0.538 0.207 0.772
Ta 0.793 0.462 0.728
Sn 0.187 0.813 0.750
Sn 0.813 0.187 0.250
O 0.049 0.344 0.873
O 0.053 0.808 0.385
O 0.192 0.947 0.115
O 0.199 0.419 0.556
O 0.328 0.502 0.964
O 0.344 0.049 0.373
O 0.419 0.199 0.056
O 0.498 0.672 0.536
O 0.502 0.328 0.464
O 0.581 0.801 0.944
O 0.656 0.951 0.627
O 0.672 0.498 0.036
O 0.801 0.581 0.444
O 0.808 0.053 0.885
O 0.947 0.192 0.615
O 0.951 0.656 0.127

Summary:
magnetic moment	0.000	μB/cell

12.
Below is a relaxed Cs2LiNbS4 crystal, with properties calculated at the PBE-GGA level.

Unit cell a=7.028 b=7.458 c=9.965 alpha=97.02 beta=92.57 gamma=91.33
Element x y z (fractional)
Cs 0.129 0.201 0.157
Cs 0.301 0.754 0.506
Cs 0.699 0.246 0.494
Cs 0.871 0.799 0.843
Li 0.403 0.677 0.071
Li 0.597 0.323 0.929
Nb 0.217 0.292 0.750
Nb 0.783 0.708 0.250
S 0.084 0.700 0.169
S 0.198 0.252 0.519
S 0.379 0.063 0.831
S 0.395 0.553 0.825
S 0.605 0.447 0.175
S 0.621 0.937 0.169
S 0.802 0.748 0.481
S 0.916 0.300 0.831

Summary:
magnetic moment	0.003	μB/cell

13.
Below is a relaxed Ca3Al2P4 crystal, with properties calculated at the PBE-GGA level.

Unit cell a=8.020 b=8.020 c=6.475 alpha=90.40 beta=90.40 gamma=75.84
Element x y z (fractional)
Ca 0.099 0.901 0.750
Ca 0.251 0.508 0.030
Ca 0.492 0.749 0.470
Ca 0.508 0.251 0.530
Ca 0.749 0.492 0.970
Ca 0.901 0.099 0.250
Al 0.080 0.328 0.588
Al 0.328 0.080 0.088
Al 0.672 0.920 0.912
Al 0.920 0.672 0.412
P 0.069 0.242 0.937
P 0.216 0.559 0.523
P 0.242 0.069 0.437
P 0.441 0.784 0.977
P 0.559 0.216 0.023
P 0.758 0.931 0.563
P 0.784 0.441 0.477
P 0.931 0.758 0.063

14.
Below is a relaxed CeSiNO2 crystal, with properties calculated at the PBE-GGA level.

Unit cell a=7.077 b=7.077 c=9.732 alpha=90.00 beta=90.00 gamma=120.00
Element x y z (fractional)
Ce 0.000 0.000 0.000
Ce 0.000 0.000 0.500
Ce 0.333 0.667 0.000
Ce 0.333 0.667 0.500
Ce 0.667 0.333 0.000
Ce 0.667 0.333 0.500
Si 0.000 0.249 0.250
Si 0.000 0.751 0.750
Si 0.249 0.000 0.250
Si 0.249 0.249 0.750
Si 0.751 0.000 0.750
Si 0.751 0.751 0.250
N 0.000 0.229 0.750
N 0.000 0.771 0.250
N 0.229 0.000 0.750
N 0.229 0.229 0.250
N 0.771 0.000 0.250
N 0.771 0.771 0.750
O 0.000 0.369 0.102
O 0.000 0.369 0.398
O 0.000 0.631 0.602
O 0.000 0.631 0.898
O 0.369 0.000 0.102
O 0.369 0.000 0.398
O 0.369 0.369 0.602
O 0.369 0.369 0.898
O 0.631 0.000 0.602
O 0.631 0.000 0.898
O 0.631 0.631 0.102
O 0.631 0.631 0.398

Summary:
magnetic moment	6.002	μB/cell

15.
Below is a relaxed Cs2HfO3 crystal, with properties calculated at the PBE-GGA level.

Unit cell a=7.294 b=7.294 c=14.538 alpha=90.00 beta=90.00 gamma=127.00
Element x y z (fractional)
Cs 0.052 0.948 0.866
Cs 0.133 0.867 0.429
Cs 0.367 0.633 0.929
Cs 0.448 0.552 0.366
Cs 0.552 0.448 0.634
Cs 0.633 0.367 0.071
Cs 0.867 0.133 0.571
Cs 0.948 0.052 0.134
Hf 0.240 0.760 0.672
Hf 0.260 0.740 0.172
Hf 0.740 0.260 0.828
Hf 0.760 0.240 0.328
O 0.017 0.483 0.750
O 0.099 0.901 0.636
O 0.171 0.829 0.067
O 0.329 0.671 0.567
O 0.401 0.599 0.136
O 0.483 0.017 0.250
O 0.517 0.983 0.750
O 0.599 0.401 0.864
O 0.671 0.329 0.433
O 0.829 0.171 0.933
O 0.901 0.099 0.364
O 0.983 0.517 0.250

Summary:
magnetic moment	0.005	μB/cell

Respective electronic total energy values: -29.44, -186.02, -111.17, -269.21, -82.75, -92.18, -1.74, -236.25, -96.17, -28.20, -207.44, -80.60, -88.48, -246.49, -164.90 eV for the cell shown.
Respective ΔH_f (0 K) values: -17.6, -7.6, -9.3, -18.7, -5.0, -2.9, 0.2, -27.7, -0.8, -0.1, -38.7, -12.0, -9.1, -12.9, -16.7 eV per formula unit.